! GGA+U Ba2Mn3Tl2Zn2O10, optimized geometry; values from VASP
! Distance to the lowest polymorph of the same formula (meV per atom): 5.1
! Corrected total energy (MP2020 scheme) (Ry per atom): -0.4764
&SYSTEM
  ibrav = 0, nat = 19, ntyp = 5
/
ATOMIC_SPECIES
Ba 137.33 Ba.upf
Mn 54.94 Mn.upf
Tl 204.38 Tl.upf
Zn 65.41 Zn.upf
O 16.00 O.upf
CELL_PARAMETERS angstrom
3.628 0.000 0.000
0.000 3.950 0.000
-1.116 -1.849 19.951
ATOMIC_POSITIONS crystal
Ba 0.188 0.135 0.294
Ba 0.915 0.864 0.692
Mn 0.422 0.423 0.819
Mn 0.626 0.567 0.158
Mn 0.662 0.495 0.990
Tl 0.789 0.707 0.432
Tl 0.297 0.271 0.553
Zn 0.952 0.956 0.894
Zn 0.116 0.032 0.077
O 0.406 0.926 0.826
O 0.432 0.379 0.722
O 0.940 0.449 0.879
O 0.728 0.757 0.536
O 0.183 0.519 0.047
O 0.137 0.584 0.195
O 0.693 0.653 0.326
O 0.633 0.057 0.135
O 0.177 0.209 0.434
O 0.695 0.991 0.982

! GGA+U YCr4Cu3O12, optimized geometry; values from VASP
! Corrected total energy (MP2020 scheme) (Ry per atom): -0.5785
&SYSTEM
  ibrav = 0, nat = 20, ntyp = 4
/
ATOMIC_SPECIES
Y 88.91 Y.upf
Cr 52.00 Cr.upf
Cu 63.55 Cu.upf
O 16.00 O.upf
CELL_PARAMETERS angstrom
-3.690 3.695 -3.699
3.690 -3.695 -3.699
-3.690 -3.695 -3.699
ATOMIC_POSITIONS crystal
Y 0.000 0.000 0.000
Cr 0.000 0.500 0.000
Cr 0.500 0.500 0.500
Cr 0.500 0.000 0.000
Cr 0.000 0.000 0.500
Cu 0.500 0.000 0.500
Cu 0.500 0.500 0.000
Cu 0.000 0.500 0.500
O 0.861 0.693 0.832
O 0.474 0.307 0.832
O 0.526 0.693 0.168
O 0.139 0.307 0.168
O 0.833 0.139 0.694
O 0.833 0.528 0.306
O 0.167 0.472 0.694
O 0.167 0.861 0.306
O 0.307 0.168 0.525
O 0.693 0.168 0.139
O 0.307 0.832 0.861
O 0.693 0.832 0.475

! GGA+U MgV4O7F5, optimized geometry; values from VASP
! Distance to the lowest polymorph of the same formula (meV per atom): 64.1
! Corrected total energy (MP2020 scheme) (Ry per atom): -0.5506
&SYSTEM
  ibrav = 0, nat = 17, ntyp = 4
/
ATOMIC_SPECIES
Mg 24.30 Mg.upf
V 50.94 V.upf
O 16.00 O.upf
F 19.00 F.upf
CELL_PARAMETERS angstrom
2.479 -1.057 -4.388
-6.248 -2.842 -2.718
-1.004 4.992 -1.963
ATOMIC_POSITIONS crystal
Mg 0.999 0.298 0.403
V 0.513 0.499 0.492
V 0.548 0.003 0.546
V 0.990 0.478 0.967
V 0.026 0.971 0.033
O 0.908 0.256 0.018
O 0.784 0.540 0.298
O 0.784 0.953 0.740
O 0.624 0.246 0.500
O 0.178 0.055 0.296
O 0.189 0.444 0.668
O 0.104 0.752 0.006
F 0.702 0.938 0.214
F 0.688 0.559 0.803
F 0.390 0.757 0.506
F 0.291 0.438 0.195
F 0.280 0.062 0.802

! GGA+U Sr2MnCu2S2O2, optimized geometry; values from VASP
! Corrected total energy (MP2020 scheme) (Ry per atom): -0.4459
&SYSTEM
  ibrav = 0, nat = 18, ntyp = 5
/
ATOMIC_SPECIES
Sr 87.62 Sr.upf
Mn 54.94 Mn.upf
Cu 63.55 Cu.upf
S 32.06 S.upf
O 16.00 O.upf
CELL_PARAMETERS angstrom
-4.212 4.015 0.000
-3.828 -4.016 1.752
-0.280 3.921 8.375
ATOMIC_POSITIONS crystal
Sr 0.407 0.000 0.186
Sr 0.907 0.500 0.186
Sr 0.093 0.500 0.814
Sr 0.593 0.000 0.814
Mn 0.500 0.500 0.000
Mn 0.000 0.000 0.000
Cu 0.500 0.250 0.500
Cu 0.000 0.750 0.500
Cu 0.000 0.250 0.500
Cu 0.500 0.750 0.500
S 0.175 0.000 0.651
S 0.675 0.500 0.651
S 0.325 0.500 0.349
S 0.825 0.000 0.349
O 0.250 0.750 0.000
O 0.750 0.250 0.000
O 0.750 0.750 0.000
O 0.250 0.250 0.000